LiV6O11F: optimized geometry, PBE+U.

Properties
Calculated formation energy: -2.410 eV/atom
Space-group type: Cm, No. 8
Uncorrected energy: -7.385 eV/atom

Cell: 5.0876 5.0875 8.7377 Å, 91.59 88.41 101.93°
With the nearest neighbours (Å) after each atom.
Fractional coordinates of all 19 atoms:
O (0.8099, 0.1901, 0.1627)  1 V 1.81
O (0.1353, 0.8647, 0.4959)  1 Li 1.68, 1 V 1.87
O (0.3310, 0.2980, 0.3339)  3 V 1.95-2.03
O (0.2982, 0.3337, 0.6707)  1 Li 1.97, 3 V 2.00-2.03
O (0.1988, 0.8012, 0.8337)  1 V 1.81, 1 Li 1.99
O (0.7020, 0.6690, 0.3339)  3 V 1.95-2.03
O (0.7986, 0.2014, 0.5074)  1 V 1.75
O (0.1611, 0.8389, 0.1545)  1 V 1.69
O (0.6664, 0.7018, 0.6707)  1 Li 1.97, 3 V 2.00-2.03
O (0.6912, 0.6857, 0.0038)  3 V 1.92-2.00
O (0.3143, 0.3088, 0.0038)  3 V 1.92-2.00
V (0.0191, 0.9809, 0.0139)  1 O 1.69
V (0.9828, 0.0172, 0.6640)  4 O 1.87-2.03, 1 F 1.99
V (0.5814, 0.4186, 0.1653)  5 O 1.81-1.97
V (0.9839, 0.0161, 0.3330)  6 O 1.89-2.08
V (0.4267, 0.5733, 0.8507)  5 O 1.81-2.00
V (0.5774, 0.4225, 0.5011)  3 O 1.75-1.96
F (0.8344, 0.1656, 0.8523)  2 V 1.99-2.07
Li (0.2934, 0.7069, 0.6200)  1 O 1.68